# 1
This record from the Materials Project database describes a relaxed Na2TmCuCl6 crystal. The functional is PBE-GGA.

a b c (Å): 7.191 7.191 7.191
angles (deg): 60.00 60.00 60.00
Positions (direct):
Na: 0.250 0.250 0.250
Na: 0.750 0.750 0.750
Tm: 0.000 0.000 0.000
Cu: 0.500 0.500 0.500
Cl: 0.254 0.254 0.746
Cl: 0.254 0.746 0.254
Cl: 0.254 0.746 0.746
Cl: 0.746 0.254 0.254
Cl: 0.746 0.254 0.746
Cl: 0.746 0.746 0.254

## Properties
For the calculated volume, the calculation gives 26.3 Å³/atom. For the MP2020-corrected energy, the calculation gives -4.160 eV per atom. As for the space group: Fm-3m (225). For the formation energy from the elements, the calculation gives -186 kJ per mole of atoms.

# 2
This record from the Materials Project database describes a relaxed Ba3InB9O18 crystal. The functional is PBE-GGA.

a b c (Å): 7.233 7.233 17.148
angles (deg): 90.00 90.00 120.00
Positions (direct):
Ba: 0.000 0.000 0.250
Ba: 0.000 0.000 0.750
Ba: 0.333 0.667 0.130
Ba: 0.333 0.667 0.370
Ba: 0.667 0.333 0.630
Ba: 0.667 0.333 0.870
In: 0.000 0.000 0.000
In: 0.000 0.000 0.500
B: 0.116 0.622 0.750
B: 0.167 0.447 0.578
B: 0.167 0.447 0.922
B: 0.279 0.833 0.578
B: 0.279 0.833 0.922
B: 0.378 0.495 0.750
B: 0.447 0.279 0.078
B: 0.447 0.279 0.422
B: 0.495 0.116 0.250
B: 0.505 0.884 0.750
B: 0.553 0.721 0.578
B: 0.553 0.721 0.922
B: 0.622 0.505 0.250
B: 0.721 0.167 0.078
B: 0.721 0.167 0.422
B: 0.833 0.553 0.078
B: 0.833 0.553 0.422
B: 0.884 0.378 0.250
O: 0.006 0.245 0.578
O: 0.006 0.245 0.922
O: 0.083 0.414 0.250
O: 0.121 0.615 0.579
O: 0.121 0.615 0.921
O: 0.166 0.457 0.750
O: 0.239 0.994 0.578
O: 0.239 0.994 0.922
O: 0.245 0.239 0.078
O: 0.245 0.239 0.422
O: 0.291 0.834 0.750
O: 0.331 0.917 0.250
O: 0.385 0.506 0.579
O: 0.385 0.506 0.921
O: 0.414 0.331 0.750
O: 0.457 0.291 0.250
O: 0.494 0.879 0.579
O: 0.494 0.879 0.921
O: 0.506 0.121 0.079
O: 0.506 0.121 0.421
O: 0.543 0.709 0.750
O: 0.586 0.669 0.250
O: 0.615 0.494 0.079
O: 0.615 0.494 0.421
O: 0.669 0.083 0.750
O: 0.709 0.166 0.250
O: 0.755 0.761 0.578
O: 0.755 0.761 0.922
O: 0.761 0.006 0.078
O: 0.761 0.006 0.422
O: 0.834 0.543 0.250
O: 0.879 0.385 0.079
O: 0.879 0.385 0.421
O: 0.917 0.586 0.750
O: 0.994 0.755 0.078
O: 0.994 0.755 0.422

## Properties
For the calculated volume, the calculation gives 12.5 Å³/atom. For the MP2020-corrected energy, the calculation gives -8.044 eV per atom. As for the space group: P6_3/m (176). For the formation energy from the elements, the calculation gives -285 kJ per mole of atoms.

# 3
This record from the Materials Project database describes a relaxed Sr crystal. The functional is PBE-GGA.

a b c (Å): 4.251 4.251 7.056
angles (deg): 90.00 90.00 120.00
Positions (direct):
Sr: 0.333 0.667 0.250
Sr: 0.667 0.333 0.750

## Properties
For the calculated volume, the calculation gives 55.2 Å³/atom. As for the space group: P6_3/mmc (194). For the formation energy from the elements, the calculation gives 1 kJ per mole of atoms.

# 4
This record from the Materials Project database describes a relaxed Ca12Be17O29 crystal. The functional is PBE-GGA.

a b c (Å): 9.961 9.961 9.961
angles (deg): 60.00 60.00 60.00
Positions (direct):
Ca: 0.004 0.004 0.496
Ca: 0.004 0.496 0.004
Ca: 0.004 0.496 0.496
Ca: 0.207 0.207 0.793
Ca: 0.207 0.793 0.207
Ca: 0.207 0.793 0.793
Ca: 0.496 0.004 0.004
Ca: 0.496 0.004 0.496
Ca: 0.496 0.496 0.004
Ca: 0.793 0.207 0.207
Ca: 0.793 0.207 0.793
Ca: 0.793 0.793 0.207
Be: 0.000 0.000 0.000
Be: 0.028 0.657 0.657
Be: 0.138 0.138 0.138
Be: 0.138 0.138 0.587
Be: 0.138 0.587 0.138
Be: 0.341 0.341 0.341
Be: 0.341 0.341 0.976
Be: 0.341 0.976 0.341
Be: 0.522 0.826 0.826
Be: 0.587 0.138 0.138
Be: 0.657 0.028 0.657
Be: 0.657 0.657 0.028
Be: 0.657 0.657 0.657
Be: 0.826 0.522 0.826
Be: 0.826 0.826 0.522
Be: 0.826 0.826 0.826
Be: 0.976 0.341 0.341
O: 0.024 0.478 0.749
O: 0.024 0.749 0.478
O: 0.024 0.749 0.749
O: 0.069 0.069 0.069
O: 0.069 0.069 0.793
O: 0.069 0.793 0.069
O: 0.251 0.251 0.520
O: 0.251 0.251 0.978
O: 0.251 0.520 0.251
O: 0.251 0.520 0.978
O: 0.251 0.978 0.251
O: 0.251 0.978 0.520
O: 0.478 0.024 0.749
O: 0.478 0.749 0.024
O: 0.478 0.749 0.749
O: 0.520 0.251 0.251
O: 0.520 0.251 0.978
O: 0.520 0.978 0.251
O: 0.749 0.024 0.478
O: 0.749 0.024 0.749
O: 0.749 0.478 0.024
O: 0.749 0.478 0.749
O: 0.749 0.749 0.024
O: 0.749 0.749 0.478
O: 0.750 0.750 0.750
O: 0.793 0.069 0.069
O: 0.978 0.251 0.251
O: 0.978 0.251 0.520
O: 0.978 0.520 0.251

## Properties
For the calculated volume, the calculation gives 12.1 Å³/atom. For the MP2020-corrected energy, the calculation gives -7.166 eV per atom. As for the space group: F-43m (216). For the formation energy from the elements, the calculation gives -307 kJ per mole of atoms.

# 5
This record from the Materials Project database describes a relaxed FeTe crystal. The functional is PBE-GGA.

a b c (Å): 3.656 3.656 6.515
angles (deg): 90.00 90.00 90.00
Positions (direct):
Fe: 0.250 0.750 0.000
Fe: 0.750 0.250 0.000
Te: 0.250 0.250 0.280
Te: 0.750 0.750 0.720

## Properties
For the calculated volume, the calculation gives 21.8 Å³/atom. For the MP2020-corrected energy, the calculation gives -6.077 eV per atom. As for the space group: P4/nmm (129). For the formation energy from the elements, the calculation gives -26 kJ per mole of atoms.

# 6
This record from the Materials Project database describes a relaxed PrMgPt crystal. The functional is PBE-GGA.

a b c (Å): 7.621 7.621 4.161
angles (deg): 90.00 90.00 120.00
Positions (direct):
Pr: 0.000 0.588 0.000
Pr: 0.412 0.412 0.000
Pr: 0.588 0.000 0.000
Mg: 0.000 0.240 0.500
Mg: 0.240 0.000 0.500
Mg: 0.760 0.760 0.500
Pt: 0.000 0.000 0.000
Pt: 0.333 0.667 0.500
Pt: 0.667 0.333 0.500

## Properties
For the calculated volume, the calculation gives 23.3 Å³/atom. As for the space group: P-62m (189). For the formation energy from the elements, the calculation gives -85 kJ per mole of atoms.

# 7
This record from the Materials Project database describes a relaxed SrCe2S2F4 crystal. The functional is PBE-GGA.

a b c (Å): 10.350 10.350 10.350
angles (deg): 157.65 157.65 31.81
Positions (direct):
Sr: 0.000 0.000 0.000
Ce: 0.342 0.342 0.000
Ce: 0.658 0.658 0.000
S: 0.198 0.198 0.000
S: 0.802 0.802 0.000
F: 0.075 0.575 0.500
F: 0.425 0.925 0.500
F: 0.575 0.075 0.500
F: 0.925 0.425 0.500

## Properties
For the calculated volume, the calculation gives 17.8 Å³/atom. For the MP2020-corrected energy, the calculation gives -6.835 eV per atom. As for the space group: I4/mmm (139). For the formation energy from the elements, the calculation gives -343 kJ per mole of atoms.

# 8
This record from the Materials Project database describes a relaxed ZnReO4 crystal. The functional is PBE-GGA.

a b c (Å): 4.695 4.695 3.110
angles (deg): 90.00 90.00 91.53
Positions (direct):
Zn: 0.000 0.000 0.000
Re: 0.500 0.500 0.500
O: 0.218 0.218 0.500
O: 0.313 0.687 0.000
O: 0.687 0.313 0.000
O: 0.782 0.782 0.500

## Properties
For the calculated volume, the calculation gives 11.4 Å³/atom. For the MP2020-corrected energy, the calculation gives -7.455 eV per atom. As for the space group: Cmmm (65). For the formation energy from the elements, the calculation gives -181 kJ per mole of atoms.